8
Lattice="2.005 -8.226 0.000 2.005 8.226 0.000 0.000 0.000 3.982" Properties=species:S:1:pos:R:3 comment="TbSi2Ni (PBE, optimized geometry)" e_tot_ev_per_cell=-49.28 pbc="T T T"
Tb 2.005 6.481 0.995
Tb 2.005 -6.481 2.986
Si 2.005 -4.105 0.995
Si 2.005 4.105 2.986
Si 2.005 0.658 0.995
Si 2.005 -0.658 2.986
Ni 2.005 2.927 0.995
Ni 2.005 -2.927 2.986


28
Lattice="-0.913 -6.553 -2.284 1.887 -2.185 5.513 -8.975 -1.664 8.361" Properties=species:S:1:pos:R:3 comment="ZnSn2O4 (PBE, optimized geometry)" de_polymorph_ev_per_atom=0.047 e_tot_ev_per_cell=-153.79 magnetic_moment_mub_per_atom=0.000 pbc="T T T"
Zn -5.835 -2.681 8.908
Zn -2.166 -7.721 2.681
Zn -2.937 -5.395 0.355
Zn -6.951 -2.822 5.722
Sn -3.990 -5.319 4.046
Sn 0.299 -5.524 2.920
Sn -4.011 -5.082 7.544
Sn -8.300 -4.878 8.670
Sn -4.488 -0.832 4.180
Sn 0.000 0.000 0.000
Sn -3.544 -1.924 6.937
Sn 0.943 -1.092 2.757
O -3.038 -2.147 4.922
O 0.229 -2.367 4.250
O -4.963 -8.255 6.668
O -8.230 -8.034 7.340
O -5.568 -6.830 3.934
O -7.530 -8.779 10.311
O -2.433 -3.572 7.655
O -0.471 -1.623 1.279
O -4.084 -4.535 9.646
O -7.917 -3.199 7.344
O -2.817 -7.103 4.620
O -1.221 -6.230 1.477
O -3.917 -5.866 1.944
O -0.084 -7.203 4.246
O -5.185 -3.299 6.970
O -6.780 -4.172 10.112


38
Lattice="-8.472 -0.073 1.250 -0.033 -8.563 0.119 -1.710 -2.585 6.644" Properties=species:S:1:pos:R:3 comment="Cu4P3O12 (PBE, optimized geometry)" de_polymorph_ev_per_atom=0.000 e_tot_ev_per_cell=-238.06 magnetic_moment_mub_per_atom=0.052 pbc="T T T"
Cu -2.624 -7.033 2.070
Cu -2.012 -5.460 5.722
Cu -5.487 -6.306 5.661
Cu -3.831 -1.478 2.758
Cu -6.384 -9.744 5.254
Cu -4.729 -4.916 2.352
Cu -7.591 -4.189 5.943
Cu -8.203 -5.761 2.291
P -6.585 -3.049 2.601
P -8.533 -7.257 5.266
P -5.768 -7.886 1.688
P -4.447 -3.336 6.325
P -1.682 -3.965 2.747
P -3.631 -8.173 5.412
O -4.631 -6.759 1.839
O -3.078 -3.917 6.031
O -3.026 -8.852 6.628
O -3.611 -6.557 5.461
O -2.276 -2.571 2.717
O -4.739 -2.224 5.285
O -0.722 -4.113 1.539
O -3.127 -8.609 4.048
O -9.494 -7.108 6.474
O -7.088 -2.613 3.965
O -9.452 -4.340 5.349
O -7.137 -7.305 1.981
O -7.189 -2.369 1.385
O -6.604 -4.665 2.551
O -2.880 -8.799 1.261
O -5.476 -8.998 2.728
O -7.335 -2.423 6.752
O -7.380 -6.147 5.415
O -4.976 -3.031 2.437
O -7.939 -8.651 5.296
O -5.584 -4.463 6.174
O -5.239 -8.191 5.576
O -2.836 -5.075 2.598
O -0.764 -6.882 2.664


10
Lattice="-3.360 4.387 -2.133 -5.874 -0.136 0.749 -2.601 3.812 3.713" Properties=species:S:1:pos:R:3 comment="KLaZr2O6 (PBE, optimized geometry)" e_tot_ev_per_cell=-83.12 magnetic_moment_mub_per_atom=0.000 pbc="T T T"
K -5.917 4.032 1.165
La 0.000 0.000 0.000
Zr -2.959 2.016 0.582
Zr -8.876 6.047 1.747
O -1.300 1.906 1.857
O -4.617 2.126 -0.692
O -4.237 1.838 2.231
O -1.680 2.194 -1.066
O -2.937 -0.068 0.375
O -2.980 4.099 0.790


22
Lattice="-1.225 -6.047 3.459 1.451 -3.248 -5.165 11.811 -1.726 1.167" Properties=species:S:1:pos:R:3 comment="Cu2As4S3Cl2 (PBE, optimized geometry)" e_tot_ev_per_cell=-91.67 magnetic_moment_mub_per_atom=0.000 pbc="T T T"
Cu 10.321 -3.387 -1.851
Cu 1.716 -7.633 1.312
Cu 9.778 -6.064 -0.320
Cu 2.258 -4.957 -0.219
As 2.388 -4.891 -4.089
As 5.208 -5.659 -1.857
As 4.596 -2.456 0.951
As 5.645 -3.506 -3.089
As 6.828 -5.362 1.318
As 9.648 -6.130 3.549
As 7.441 -8.565 -1.490
As 6.392 -7.515 2.549
S 3.566 -2.951 -3.871
S 9.079 -5.068 1.614
S 2.957 -5.953 -2.154
S 9.428 -8.306 -0.334
S 2.608 -2.714 -0.205
S 8.471 -8.070 3.332
Cl 8.336 -4.907 -2.010
Cl 0.330 -5.907 0.638
Cl 11.706 -5.114 -1.177
Cl 3.701 -6.114 1.471


10
Lattice="4.567 -0.001 0.000 2.283 2.326 7.336 0.001 -8.959 -0.106" Properties=species:S:1:pos:R:3 comment="BaMn2Bi2 (PBE, optimized geometry)" e_tot_ev_per_cell=-57.57 magnetic_moment_mub_per_atom=0.000 pbc="T T T"
Ba 6.851 -2.154 7.283
Ba 2.285 -6.633 7.230
Mn 2.285 -4.588 3.627
Mn 4.567 -2.046 3.604
Mn 2.284 -0.107 3.679
Mn 4.567 -6.526 3.551
Bi 4.569 -4.378 5.321
Bi 4.568 0.102 5.374
Bi 2.283 -2.256 1.910
Bi 2.284 -6.735 1.857


10
Lattice="6.460 -3.435 0.000 6.460 3.435 0.000 4.633 0.000 5.663" Properties=species:S:1:pos:R:3 comment="Ho2S3 (PBE, optimized geometry)" e_tot_ev_per_cell=-63.71 pbc="T T T"
Ho 14.923 0.000 4.814
Ho 11.406 0.000 3.680
Ho 6.147 0.000 1.983
Ho 2.630 0.000 0.848
S 10.848 1.365 1.416
S 9.572 1.035 5.372
S 10.297 -2.400 3.122
S 7.255 2.400 2.540
S 7.981 -1.035 0.291
S 6.705 -1.365 4.247


14
Lattice="-3.748 3.748 5.280 3.748 -3.748 5.280 3.748 3.748 -5.280" Properties=species:S:1:pos:R:3 comment="InCuSnS4 (PBE, optimized geometry)" e_tot_ev_per_cell=-60.87 magnetic_moment_mub_per_atom=0.000 pbc="T T T"
In 3.748 0.000 0.000
In 0.000 0.000 5.280
Cu 3.748 -1.874 3.996
Cu 0.000 5.622 1.284
Sn -1.874 1.874 2.640
Sn 1.874 1.874 2.640
S 0.000 0.035 2.623
S 0.000 3.714 2.623
S 1.844 1.874 5.217
S -1.844 1.874 5.217
S 3.748 3.714 2.657
S 3.748 0.035 2.657
S 1.903 1.874 0.064
S 5.592 1.874 0.064


8
Lattice="-2.092 3.005 2.161 1.673 1.613 3.560 3.490 5.352 -4.065" Properties=species:S:1:pos:R:3 comment="Cu6GeSb (PBE, optimized geometry)" e_tot_ev_per_cell=-32.15 magnetic_moment_mub_per_atom=0.000 pbc="T T T"
Cu 4.291 5.627 0.512
Cu 2.546 2.951 2.544
Cu 0.116 1.931 1.609
Cu 2.890 7.939 0.123
Cu 1.786 6.246 1.409
Cu 1.350 3.824 0.172
Ge 2.478 5.554 -1.141
Sb 0.593 4.417 2.798


16
Lattice="5.402 0.000 0.000 0.000 7.052 0.000 0.000 0.000 11.994" Properties=species:S:1:pos:R:3 comment="BaCeMg6 (PBE, optimized geometry)" e_tot_ev_per_cell=-32.57 magnetic_moment_mub_per_atom=0.150 pbc="T T T"
Ba 2.701 3.526 10.009
Ba 2.701 0.000 4.012
Ce 2.701 3.526 4.067
Ce 2.701 0.000 10.064
Mg 2.701 1.785 0.989
Mg 2.701 5.267 0.989
Mg 0.000 1.653 11.119
Mg 0.000 5.399 11.119
Mg 0.000 3.526 1.925
Mg 0.000 3.526 7.761
Mg 2.701 5.311 6.986
Mg 2.701 1.741 6.986
Mg 0.000 5.179 5.121
Mg 0.000 1.873 5.121
Mg 0.000 0.000 7.922
Mg 0.000 0.000 1.764


6
Lattice="1.547 -2.679 0.000 1.547 2.679 0.000 0.000 0.000 15.035" Properties=species:S:1:pos:R:3 comment="Li2Mg (PBE, optimized geometry)" e_tot_ev_per_cell=-10.95 pbc="T T T"
Li 1.547 -0.893 8.749
Li 1.547 -0.893 13.804
Li 1.547 0.893 1.231
Li 1.547 0.893 6.287
Mg 1.547 0.893 11.276
Mg 1.547 -0.893 3.759


2
Lattice="0.000 2.881 2.881 2.881 0.000 2.881 2.881 2.881 0.000" Properties=species:S:1:pos:R:3 comment="Ge (PBE, optimized geometry)" de_polymorph_ev_per_atom=0.000 e_tot_ev_per_cell=-9.25 pbc="T T T"
Ge 2.881 2.881 2.881
Ge 4.322 4.322 4.322